[1]
Below is a relaxed structure of Li7Mn2Co3O12, with properties calculated at the GGA+U level.

a = 5.820 Å, b = 5.917 Å, c = 7.737 Å
α = 67.55°, β = 78.78°, γ = 60.61°
Fractional coordinates of all 24 atoms:
Li (0.000, 0.000, 0.000)
Li (0.000, 0.492, 0.005)
Li (0.164, 0.834, 0.672)
Li (0.331, 0.170, 0.328)
Li (0.499, 0.501, 0.002)
Li (0.666, 0.830, 0.668)
Li (0.836, 0.157, 0.327)
Mn (0.498, 0.998, 0.001)
Mn (0.671, 0.324, 0.668)
Co (0.161, 0.325, 0.672)
Co (0.320, 0.675, 0.326)
Co (0.834, 0.677, 0.326)
O (0.006, 0.735, 0.498)
O (0.160, 0.581, 0.187)
O (0.190, 0.069, 0.162)
O (0.340, 0.930, 0.840)
O (0.356, 0.390, 0.834)
O (0.491, 0.264, 0.513)
O (0.516, 0.711, 0.499)
O (0.654, 0.614, 0.155)
O (0.657, 0.067, 0.164)
O (0.806, 0.946, 0.832)
O (0.837, 0.409, 0.812)
O (0.980, 0.255, 0.510)

formation energy	-1.88	eV per atom
volume	215	Å³/f.u.
magnetic moment	18.00	μB/cell
space-group type	P1, No. 1
polymorph energy (0 for the lowest one)	49	meV per atom
crystal system	triclinic
total DFT energy (no corrections)	-5.880	eV/atom


[2]
Below is a relaxed structure of Li7Mn4CoO12, with properties calculated at the GGA+U level.

a = 5.157 Å, b = 8.657 Å, c = 9.746 Å
α = 90.00°, β = 98.30°, γ = 90.00°
Fractional coordinates of all 48 atoms:
Li (0.000, 0.000, 0.000)
Li (0.000, 0.497, 0.500)
Li (0.239, 0.495, 0.259)
Li (0.250, 0.659, 0.748)
Li (0.255, 0.000, 0.759)
Li (0.258, 0.163, 0.252)
Li (0.258, 0.834, 0.254)
Li (0.263, 0.330, 0.753)
Li (0.737, 0.330, 0.247)
Li (0.742, 0.163, 0.748)
Li (0.742, 0.834, 0.746)
Li (0.745, 0.000, 0.241)
Li (0.750, 0.659, 0.252)
Li (0.761, 0.495, 0.741)
Mn (0.000, 0.167, 0.500)
Mn (0.000, 0.328, 0.000)
Mn (0.000, 0.669, 0.000)
Mn (0.000, 0.827, 0.500)
Mn (0.500, 0.164, 0.000)
Mn (0.500, 0.330, 0.500)
Mn (0.500, 0.664, 0.500)
Mn (0.500, 0.834, 0.000)
Co (0.500, 0.494, 0.000)
Co (0.500, 0.997, 0.500)
O (0.112, 0.502, 0.886)
O (0.142, 0.997, 0.394)
O (0.150, 0.172, 0.889)
O (0.150, 0.323, 0.392)
O (0.150, 0.672, 0.391)
O (0.151, 0.820, 0.889)
O (0.350, 0.676, 0.110)
O (0.387, 0.318, 0.120)
O (0.393, 0.995, 0.113)
O (0.394, 0.163, 0.615)
O (0.394, 0.829, 0.616)
O (0.398, 0.497, 0.615)
O (0.602, 0.497, 0.385)
O (0.606, 0.163, 0.385)
O (0.606, 0.829, 0.384)
O (0.607, 0.995, 0.887)
O (0.613, 0.318, 0.880)
O (0.650, 0.676, 0.890)
O (0.849, 0.820, 0.111)
O (0.850, 0.172, 0.111)
O (0.850, 0.323, 0.608)
O (0.850, 0.672, 0.609)
O (0.858, 0.997, 0.606)
O (0.888, 0.502, 0.114)

formation energy	-2.08	eV per atom
volume	215	Å³/f.u.
magnetic moment	24.00	μB/cell
space-group type	P2, No. 3
polymorph energy (0 for the lowest one)	6	meV per atom
crystal system	monoclinic
total DFT energy (no corrections)	-6.242	eV/atom


[3]
Below is a relaxed structure of Li3Mn2Co2O8, with properties calculated at the GGA+U level.

a = 5.759 Å, b = 5.783 Å, c = 5.899 Å
α = 90.21°, β = 118.80°, γ = 119.81°
Fractional coordinates of all 15 atoms:
Li (0.000, 0.000, 0.000)
Li (0.000, 0.000, 0.500)
Li (0.500, 0.500, 0.000)
Mn (0.500, 0.000, 0.500)
Mn (0.500, 0.500, 0.500)
Co (0.000, 0.500, 0.000)
Co (0.000, 0.500, 0.500)
O (0.031, 0.755, 0.281)
O (0.040, 0.285, 0.282)
O (0.475, 0.735, 0.710)
O (0.497, 0.252, 0.717)
O (0.503, 0.748, 0.283)
O (0.525, 0.265, 0.290)
O (0.960, 0.715, 0.718)
O (0.969, 0.245, 0.719)

formation energy	-1.80	eV per atom
volume	142	Å³/f.u.
magnetic moment	13.00	μB/cell
space-group type	P-1, No. 2
polymorph energy (0 for the lowest one)	0	meV per atom
crystal system	triclinic
total DFT energy (no corrections)	-6.186	eV/atom


[4]
Below is a relaxed structure of Li7Mn2Co3O12, with properties calculated at the GGA+U level.

a = 5.108 Å, b = 5.843 Å, c = 7.704 Å
α = 78.94°, β = 77.99°, γ = 73.40°
Fractional coordinates of all 24 atoms:
Li (0.000, 0.000, 0.000)
Li (0.000, 0.500, 0.000)
Li (0.003, 0.334, 0.664)
Li (0.005, 0.833, 0.664)
Li (0.500, 0.500, 0.500)
Li (0.995, 0.167, 0.336)
Li (0.997, 0.666, 0.336)
Mn (0.492, 0.170, 0.831)
Mn (0.508, 0.830, 0.169)
Co (0.499, 0.665, 0.821)
Co (0.500, 0.000, 0.500)
Co (0.501, 0.335, 0.179)
O (0.259, 0.007, 0.759)
O (0.259, 0.485, 0.761)
O (0.276, 0.313, 0.405)
O (0.280, 0.152, 0.075)
O (0.284, 0.843, 0.402)
O (0.285, 0.670, 0.083)
O (0.715, 0.330, 0.917)
O (0.716, 0.157, 0.598)
O (0.720, 0.848, 0.925)
O (0.724, 0.687, 0.595)
O (0.741, 0.515, 0.239)
O (0.741, 0.993, 0.241)

formation energy	-1.90	eV per atom
volume	213	Å³/f.u.
magnetic moment	8.00	μB/cell
space-group type	P-1, No. 2
polymorph energy (0 for the lowest one)	35	meV per atom
crystal system	triclinic
total DFT energy (no corrections)	-5.894	eV/atom


[5]
Below is a relaxed structure of Li4MnCo2O7, with properties calculated at the GGA+U level.

a = 5.036 Å, b = 6.592 Å, c = 7.689 Å
α = 85.93°, β = 76.99°, γ = 82.21°
Fractional coordinates of all 28 atoms:
Li (0.000, 0.000, 0.000)
Li (0.069, 0.863, 0.350)
Li (0.143, 0.722, 0.699)
Li (0.280, 0.436, 0.419)
Li (0.419, 0.137, 0.140)
Li (0.573, 0.862, 0.849)
Li (0.717, 0.582, 0.559)
Li (0.859, 0.286, 0.277)
Mn (0.637, 0.727, 0.211)
Mn (0.931, 0.140, 0.628)
Co (0.208, 0.585, 0.072)
Co (0.354, 0.288, 0.780)
Co (0.498, 0.003, 0.490)
Co (0.782, 0.435, 0.921)
O (0.029, 0.415, 0.673)
O (0.108, 0.294, 0.012)
O (0.180, 0.142, 0.403)
O (0.239, 0.014, 0.724)
O (0.340, 0.848, 0.103)
O (0.416, 0.734, 0.447)
O (0.462, 0.563, 0.825)
O (0.540, 0.453, 0.169)
O (0.610, 0.267, 0.539)
O (0.687, 0.157, 0.870)
O (0.726, 0.990, 0.252)
O (0.807, 0.886, 0.596)
O (0.884, 0.713, 0.970)
O (0.956, 0.580, 0.295)

formation energy	-1.86	eV per atom
volume	123	Å³/f.u.
magnetic moment	18.00	μB/cell
space-group type	P1, No. 1
polymorph energy (0 for the lowest one)	22	meV per atom
crystal system	triclinic
total DFT energy (no corrections)	-5.855	eV/atom


[6]
Below is a relaxed structure of Li4MnCo2O7, with properties calculated at the GGA+U level.

a = 5.138 Å, b = 5.138 Å, c = 17.389 Å
α = 94.57°, β = 94.57°, γ = 33.41°
Fractional coordinates of all 28 atoms:
Li (0.000, 0.000, 0.000)
Li (0.000, 0.000, 0.500)
Li (0.139, 0.139, 0.284)
Li (0.284, 0.284, 0.563)
Li (0.428, 0.428, 0.857)
Li (0.572, 0.572, 0.143)
Li (0.716, 0.716, 0.437)
Li (0.861, 0.861, 0.716)
Mn (0.427, 0.427, 0.361)
Mn (0.573, 0.573, 0.639)
Co (0.139, 0.139, 0.788)
Co (0.285, 0.285, 0.071)
Co (0.715, 0.715, 0.929)
Co (0.861, 0.861, 0.212)
O (0.051, 0.051, 0.386)
O (0.079, 0.079, 0.891)
O (0.198, 0.198, 0.681)
O (0.223, 0.223, 0.175)
O (0.349, 0.349, 0.968)
O (0.357, 0.357, 0.454)
O (0.490, 0.490, 0.252)
O (0.510, 0.510, 0.748)
O (0.643, 0.643, 0.546)
O (0.651, 0.651, 0.032)
O (0.777, 0.777, 0.825)
O (0.802, 0.802, 0.319)
O (0.921, 0.921, 0.109)
O (0.949, 0.949, 0.614)

formation energy	-1.87	eV per atom
volume	126	Å³/f.u.
magnetic moment	6.00	μB/cell
space-group type	C2/m, No. 12
polymorph energy (0 for the lowest one)	17	meV per atom
crystal system	monoclinic
total DFT energy (no corrections)	-5.860	eV/atom


[7]
Below is a relaxed structure of Li4MnCo2O7, with properties calculated at the GGA+U level.

a = 2.945 Å, b = 5.100 Å, c = 17.274 Å
α = 84.67°, β = 88.82°, γ = 74.87°
Fractional coordinates of all 28 atoms:
Li (0.000, 0.000, 0.000)
Li (0.000, 0.000, 0.500)
Li (0.132, 0.725, 0.285)
Li (0.266, 0.435, 0.563)
Li (0.424, 0.147, 0.856)
Li (0.576, 0.853, 0.144)
Li (0.734, 0.565, 0.437)
Li (0.868, 0.275, 0.715)
Mn (0.429, 0.146, 0.361)
Mn (0.571, 0.854, 0.639)
Co (0.130, 0.720, 0.788)
Co (0.292, 0.429, 0.071)
Co (0.708, 0.571, 0.929)
Co (0.870, 0.280, 0.212)
O (0.038, 0.898, 0.387)
O (0.039, 0.842, 0.892)
O (0.183, 0.603, 0.680)
O (0.238, 0.554, 0.175)
O (0.358, 0.287, 0.455)
O (0.374, 0.309, 0.968)
O (0.495, 0.019, 0.251)
O (0.505, 0.981, 0.749)
O (0.626, 0.691, 0.032)
O (0.642, 0.713, 0.545)
O (0.762, 0.446, 0.825)
O (0.817, 0.397, 0.320)
O (0.961, 0.158, 0.108)
O (0.962, 0.102, 0.613)

formation energy	-1.83	eV per atom
volume	125	Å³/f.u.
magnetic moment	18.03	μB/cell
space-group type	P-1, No. 2
polymorph energy (0 for the lowest one)	57	meV per atom
crystal system	triclinic
total DFT energy (no corrections)	-5.820	eV/atom


[8]
Below is a relaxed structure of Li4Mn3CoO8, with properties calculated at the GGA+U level.

a = 5.094 Å, b = 5.794 Å, c = 6.045 Å
α = 61.64°, β = 76.87°, γ = 73.99°
Fractional coordinates of all 16 atoms:
Li (0.003, 0.242, 0.263)
Li (0.014, 0.261, 0.720)
Li (0.986, 0.739, 0.280)
Li (0.997, 0.758, 0.737)
Mn (0.500, 0.000, 0.000)
Mn (0.500, 0.500, 0.000)
Mn (0.500, 0.500, 0.500)
Co (0.500, 0.000, 0.500)
O (0.265, 0.378, 0.382)
O (0.266, 0.857, 0.386)
O (0.270, 0.356, 0.899)
O (0.293, 0.882, 0.840)
O (0.707, 0.118, 0.160)
O (0.730, 0.644, 0.101)
O (0.734, 0.143, 0.614)
O (0.735, 0.622, 0.618)

formation energy	-2.02	eV per atom
volume	150	Å³/f.u.
magnetic moment	12.00	μB/cell
space-group type	P-1, No. 2
polymorph energy (0 for the lowest one)	7	meV per atom
crystal system	triclinic
total DFT energy (no corrections)	-6.376	eV/atom


[9]
Below is a relaxed structure of Li4MnCo2O7, with properties calculated at the GGA+U level.

a = 4.953 Å, b = 5.122 Å, c = 10.245 Å
α = 100.31°, β = 98.10°, γ = 100.06°
Fractional coordinates of all 28 atoms:
Li (0.000, 0.000, 0.000)
Li (0.019, 0.995, 0.500)
Li (0.152, 0.280, 0.795)
Li (0.276, 0.555, 0.066)
Li (0.424, 0.849, 0.350)
Li (0.569, 0.132, 0.645)
Li (0.726, 0.435, 0.937)
Li (0.853, 0.720, 0.197)
Mn (0.720, 0.416, 0.429)
Mn (0.863, 0.705, 0.713)
Co (0.145, 0.281, 0.283)
Co (0.296, 0.560, 0.572)
Co (0.435, 0.858, 0.864)
Co (0.575, 0.141, 0.132)
O (0.066, 0.640, 0.871)
O (0.079, 0.606, 0.402)
O (0.205, 0.884, 0.671)
O (0.229, 0.968, 0.189)
O (0.373, 0.199, 0.962)
O (0.384, 0.234, 0.473)
O (0.506, 0.479, 0.268)
O (0.511, 0.509, 0.736)
O (0.618, 0.793, 0.033)
O (0.649, 0.744, 0.540)
O (0.777, 0.026, 0.805)
O (0.801, 0.094, 0.327)
O (0.916, 0.356, 0.116)
O (0.941, 0.375, 0.599)

formation energy	-1.86	eV per atom
volume	124	Å³/f.u.
magnetic moment	16.00	μB/cell
space-group type	P1, No. 1
polymorph energy (0 for the lowest one)	22	meV per atom
crystal system	triclinic
total DFT energy (no corrections)	-5.855	eV/atom


[10]
Below is a relaxed structure of Li7Mn2Co3O12, with properties calculated at the GGA+U level.

a = 5.900 Å, b = 6.496 Å, c = 6.497 Å
α = 97.15°, β = 103.37°, γ = 115.00°
Fractional coordinates of all 24 atoms:
Li (0.000, 0.000, 0.000)
Li (0.005, 0.332, 0.323)
Li (0.012, 0.665, 0.666)
Li (0.249, 0.502, 0.997)
Li (0.484, 0.662, 0.662)
Li (0.491, 0.336, 0.319)
Li (0.506, 0.997, 0.998)
Mn (0.254, 0.170, 0.662)
Mn (0.747, 0.503, 0.996)
Co (0.250, 0.829, 0.327)
Co (0.735, 0.823, 0.324)
Co (0.765, 0.170, 0.663)
O (0.096, 0.731, 0.011)
O (0.125, 0.394, 0.657)
O (0.141, 0.072, 0.344)
O (0.375, 0.930, 0.646)
O (0.376, 0.606, 0.332)
O (0.392, 0.259, 0.975)
O (0.611, 0.406, 0.676)
O (0.639, 0.072, 0.341)
O (0.639, 0.745, 0.009)
O (0.847, 0.583, 0.309)
O (0.857, 0.257, 0.976)
O (0.908, 0.936, 0.652)

formation energy	-1.90	eV per atom
volume	212	Å³/f.u.
magnetic moment	8.00	μB/cell
space-group type	P1, No. 1
polymorph energy (0 for the lowest one)	31	meV per atom
crystal system	triclinic
total DFT energy (no corrections)	-5.898	eV/atom


[11]
Below is a relaxed structure of Li4Mn3CoO8, with properties calculated at the GGA+U level.

a = 3.083 Å, b = 6.107 Å, c = 8.139 Å
α = 90.34°, β = 90.83°, γ = 95.35°
Fractional coordinates of all 16 atoms:
Li (0.000, 0.000, 0.000)
Li (0.000, 0.500, 0.500)
Li (0.497, 0.252, 0.247)
Li (0.503, 0.748, 0.753)
Mn (0.000, 0.000, 0.500)
Mn (0.488, 0.254, 0.752)
Mn (0.512, 0.746, 0.248)
Co (0.000, 0.500, 0.000)
O (0.030, 0.010, 0.741)
O (0.038, 0.504, 0.238)
O (0.467, 0.242, 0.512)
O (0.472, 0.266, 0.990)
O (0.528, 0.734, 0.010)
O (0.533, 0.758, 0.488)
O (0.962, 0.496, 0.762)
O (0.970, 0.990, 0.259)

formation energy	-2.02	eV per atom
volume	153	Å³/f.u.
magnetic moment	12.00	μB/cell
space-group type	P-1, No. 2
polymorph energy (0 for the lowest one)	10	meV per atom
crystal system	triclinic
total DFT energy (no corrections)	-6.372	eV/atom


[12]
Below is a relaxed structure of Li4Mn3CoO8, with properties calculated at the GGA+U level.

a = 5.919 Å, b = 5.929 Å, c = 10.208 Å
α = 75.00°, β = 75.46°, γ = 61.28°
Fractional coordinates of all 32 atoms:
Li (0.000, 0.000, 0.000)
Li (0.001, 0.497, 0.000)
Li (0.251, 0.247, 0.751)
Li (0.254, 0.747, 0.749)
Li (0.503, 0.498, 0.499)
Li (0.504, 0.995, 0.500)
Li (0.751, 0.747, 0.251)
Li (0.754, 0.246, 0.249)
Mn (0.004, 0.495, 0.500)
Mn (0.004, 0.997, 0.499)
Mn (0.254, 0.245, 0.250)
Mn (0.500, 0.999, 0.000)
Mn (0.501, 0.500, 0.999)
Mn (0.754, 0.746, 0.749)
Co (0.252, 0.747, 0.250)
Co (0.753, 0.246, 0.750)
O (0.113, 0.142, 0.611)
O (0.139, 0.595, 0.619)
O (0.160, 0.116, 0.121)
O (0.167, 0.582, 0.126)
O (0.342, 0.376, 0.380)
O (0.342, 0.906, 0.374)
O (0.364, 0.899, 0.881)
O (0.392, 0.351, 0.888)
O (0.610, 0.646, 0.111)
O (0.638, 0.098, 0.119)
O (0.662, 0.614, 0.620)
O (0.669, 0.081, 0.625)
O (0.839, 0.409, 0.874)
O (0.839, 0.880, 0.879)
O (0.867, 0.396, 0.382)
O (0.894, 0.848, 0.389)

formation energy	-2.03	eV per atom
volume	150	Å³/f.u.
magnetic moment	28.00	μB/cell
space-group type	P1, No. 1
polymorph energy (0 for the lowest one)	1	meV per atom
crystal system	triclinic
total DFT energy (no corrections)	-6.382	eV/atom


Which formula does entry 5 have? Li4MnCo2O7


Look up the magnetic moment of the fourth one. 8.00 μB/cell


Among the records above, which one has the highest total DFT energy (no corrections)? number 7